This record from the Materials Project describes a relaxed CuH5Pb4SO11 crystal. The functional is PBE.

a b c (Å): 14.2186 11.7352 14.7547
angles (deg): 90.00 100.09 90.00
Fractional positions:
Cu (0.0054, 0.2467, 0.0207)
Cu (0.0054, 0.2533, 0.5207)
Cu (0.2619, 0.0064, 0.7923)
Cu (0.2619, 0.4936, 0.2923)
Cu (0.7381, 0.5064, 0.7077)
Cu (0.7381, 0.9936, 0.2077)
Cu (0.9946, 0.7467, 0.4793)
Cu (0.9946, 0.7533, 0.9793)
H (0.0375, 0.6716, 0.3413)
H (0.0375, 0.8284, 0.8413)
H (0.0514, 0.6774, 0.6333)
H (0.0514, 0.8226, 0.1333)
H (0.0517, 0.1813, 0.6716)
H (0.0517, 0.3187, 0.1716)
H (0.0540, 0.1754, 0.3840)
H (0.0540, 0.3246, 0.8840)
H (0.1056, 0.0778, 0.8111)
H (0.1056, 0.4222, 0.3111)
H (0.1066, 0.5700, 0.2221)
H (0.1066, 0.9300, 0.7221)
H (0.3839, 0.5089, 0.7597)
H (0.3839, 0.9911, 0.2597)
H (0.4074, 0.5904, 0.2841)
H (0.4074, 0.9096, 0.7841)
H (0.4113, 0.0913, 0.8546)
H (0.4113, 0.4087, 0.3546)
H (0.4678, 0.7357, 0.6046)
H (0.4678, 0.7643, 0.1046)
H (0.5322, 0.2357, 0.8954)
H (0.5322, 0.2643, 0.3954)
H (0.5887, 0.5913, 0.6454)
H (0.5887, 0.9087, 0.1454)
H (0.5926, 0.0904, 0.2159)
H (0.5926, 0.4096, 0.7159)
H (0.6161, 0.0089, 0.7403)
H (0.6161, 0.4911, 0.2403)
H (0.8934, 0.0700, 0.2779)
H (0.8934, 0.4300, 0.7779)
H (0.8944, 0.5778, 0.6889)
H (0.8944, 0.9222, 0.1889)
H (0.9460, 0.6754, 0.1160)
H (0.9460, 0.8246, 0.6160)
H (0.9483, 0.6813, 0.8284)
H (0.9483, 0.8187, 0.3284)
H (0.9486, 0.1774, 0.8667)
H (0.9486, 0.3226, 0.3667)
H (0.9625, 0.1716, 0.1587)
H (0.9625, 0.3284, 0.6587)
Pb (0.1344, 0.0091, 0.0061)
Pb (0.1344, 0.4909, 0.5061)
Pb (0.1371, 0.0009, 0.5423)
Pb (0.1371, 0.4991, 0.0423)
Pb (0.2458, 0.7475, 0.9071)
Pb (0.2458, 0.7525, 0.4071)
Pb (0.2651, 0.2324, 0.4337)
Pb (0.2651, 0.2676, 0.9337)
Pb (0.2708, 0.7217, 0.6545)
Pb (0.2708, 0.7783, 0.1545)
Pb (0.2803, 0.2231, 0.1801)
Pb (0.2803, 0.2769, 0.6801)
Pb (0.3916, 0.5224, 0.0820)
Pb (0.3916, 0.9776, 0.5820)
Pb (0.4000, 0.5055, 0.5651)
Pb (0.4000, 0.9945, 0.0651)
Pb (0.6000, 0.0055, 0.9349)
Pb (0.6000, 0.4945, 0.4349)
Pb (0.6084, 0.0224, 0.4180)
Pb (0.6084, 0.4776, 0.9180)
Pb (0.7197, 0.7231, 0.3199)
Pb (0.7197, 0.7769, 0.8199)
Pb (0.7292, 0.2217, 0.8455)
Pb (0.7292, 0.2783, 0.3455)
Pb (0.7349, 0.7324, 0.0663)
Pb (0.7349, 0.7676, 0.5663)
Pb (0.7542, 0.2475, 0.5929)
Pb (0.7542, 0.2525, 0.0929)
Pb (0.8629, 0.5009, 0.9577)
Pb (0.8629, 0.9991, 0.4577)
Pb (0.8656, 0.5091, 0.4939)
Pb (0.8656, 0.9909, 0.9939)
S (0.0812, 0.5032, 0.7647)
S (0.0812, 0.9968, 0.2647)
S (0.4881, 0.7179, 0.9149)
S (0.4881, 0.7821, 0.4149)
S (0.5119, 0.2179, 0.5851)
S (0.5119, 0.2821, 0.0851)
S (0.9188, 0.0032, 0.7353)
S (0.9188, 0.4968, 0.2353)
O (0.0174, 0.0974, 0.2772)
O (0.0174, 0.4026, 0.7772)
O (0.0177, 0.6051, 0.7353)
O (0.0177, 0.8949, 0.2353)
O (0.0743, 0.6872, 0.4035)
O (0.0743, 0.8128, 0.9035)
O (0.0825, 0.6979, 0.5802)
O (0.0825, 0.8021, 0.0802)
O (0.0882, 0.1996, 0.4457)
O (0.0882, 0.3004, 0.9457)
O (0.0892, 0.1963, 0.6223)
O (0.0892, 0.3037, 0.1223)
O (0.1379, 0.0246, 0.1923)
O (0.1379, 0.4754, 0.6923)
O (0.1449, 0.5287, 0.8538)
O (0.1449, 0.9713, 0.3538)
O (0.1694, 0.0708, 0.8512)
O (0.1694, 0.4292, 0.3512)
O (0.1712, 0.5648, 0.2050)
O (0.1712, 0.9352, 0.7050)
O (0.2588, 0.6086, 0.5190)
O (0.2588, 0.8914, 0.0190)
O (0.2624, 0.1392, 0.0453)
O (0.2624, 0.3608, 0.5453)
O (0.2615, 0.6436, 0.0375)
O (0.2615, 0.8564, 0.5375)
O (0.2710, 0.1048, 0.5635)
O (0.2710, 0.3952, 0.0635)
O (0.3516, 0.0307, 0.2044)
O (0.3516, 0.4693, 0.7044)
O (0.3527, 0.0772, 0.8794)
O (0.3527, 0.4228, 0.3794)
O (0.3574, 0.5590, 0.2359)
O (0.3574, 0.9410, 0.7359)
O (0.4176, 0.6216, 0.8971)
O (0.4176, 0.8784, 0.3971)
O (0.4334, 0.6726, 0.4117)
O (0.4334, 0.8274, 0.9117)
O (0.4337, 0.6859, 0.6421)
O (0.4337, 0.8141, 0.1421)
O (0.4488, 0.2184, 0.6556)
O (0.4488, 0.2816, 0.1556)
O (0.4524, 0.2012, 0.4906)
O (0.4524, 0.2988, 0.9906)
O (0.5476, 0.7012, 0.0094)
O (0.5476, 0.7988, 0.5094)
O (0.5512, 0.7184, 0.8444)
O (0.5512, 0.7816, 0.3444)
O (0.5663, 0.1859, 0.8579)
O (0.5663, 0.3141, 0.3579)
O (0.5666, 0.1726, 0.0883)
O (0.5666, 0.3274, 0.5883)
O (0.5824, 0.1216, 0.6029)
O (0.5824, 0.3784, 0.1029)
O (0.6426, 0.0590, 0.2641)
O (0.6426, 0.4410, 0.7641)
O (0.6473, 0.5772, 0.6206)
O (0.6473, 0.9228, 0.1206)
O (0.6484, 0.5307, 0.2956)
O (0.6484, 0.9693, 0.7956)
O (0.7290, 0.6048, 0.9365)
O (0.7290, 0.8952, 0.4365)
O (0.7385, 0.1436, 0.4625)
O (0.7385, 0.3564, 0.9625)
O (0.7376, 0.6392, 0.4547)
O (0.7376, 0.8608, 0.9547)
O (0.7412, 0.1086, 0.9810)
O (0.7412, 0.3914, 0.4810)
O (0.8288, 0.0648, 0.2950)
O (0.8288, 0.4352, 0.7950)
O (0.8306, 0.5708, 0.6488)
O (0.8306, 0.9292, 0.1488)
O (0.8551, 0.0287, 0.6462)
O (0.8551, 0.4713, 0.1462)
O (0.8621, 0.5246, 0.3077)
O (0.8621, 0.9754, 0.8077)
O (0.9108, 0.6963, 0.8777)
O (0.9108, 0.8037, 0.3777)
O (0.9118, 0.6996, 0.0543)
O (0.9118, 0.8004, 0.5543)
O (0.9175, 0.1979, 0.9198)
O (0.9175, 0.3021, 0.4198)
O (0.9257, 0.1872, 0.0965)
O (0.9257, 0.3128, 0.5965)
O (0.9823, 0.1051, 0.7647)
O (0.9823, 0.3949, 0.2647)
O (0.9826, 0.5974, 0.2228)
O (0.9826, 0.9026, 0.7228)

- energy relative to the elements (meV per atom) = -1445.5
- magnetization (μB/cell) = 0.0

***

This record from the Materials Project describes a relaxed PrMgCu2O6 crystal. The functional is PBE.

a b c (Å): 7.5500 5.4420 5.2553
angles (deg): 90.00 90.00 90.00
Fractional positions:
Pr (0.0000, 0.2052, 0.0000)
Pr (0.5000, 0.7948, 0.5000)
Mg (0.0000, 0.6858, 0.4617)
Mg (0.5000, 0.3142, 0.9617)
Cu (0.2482, 0.7493, 0.9880)
Cu (0.2518, 0.2507, 0.4880)
Cu (0.7482, 0.2507, 0.4880)
Cu (0.7518, 0.7493, 0.9880)
O (0.0000, 0.2998, 0.5618)
O (0.0000, 0.7705, 0.8597)
O (0.1931, 0.9476, 0.2989)
O (0.1956, 0.4840, 0.2190)
O (0.3044, 0.5160, 0.7190)
O (0.3069, 0.0524, 0.7989)
O (0.5000, 0.2295, 0.3597)
O (0.5000, 0.7002, 0.0618)
O (0.6931, 0.0524, 0.7989)
O (0.6956, 0.5160, 0.7190)
O (0.8044, 0.4840, 0.2190)
O (0.8069, 0.9476, 0.2989)

- energy relative to the elements (meV per atom) = -1932.8
- magnetization (μB/cell) = 0.0

***

This record from the Materials Project describes a relaxed Ga2P2H4NO8 crystal. The functional is PBE.

a b c (Å): 9.4159 9.4159 8.9620
angles (deg): 91.99 91.99 87.63
Fractional positions:
Ga (0.0632, 0.8229, 0.8619)
Ga (0.1771, 0.9368, 0.6381)
Ga (0.3241, 0.4059, 0.6301)
Ga (0.4059, 0.3241, 0.1301)
Ga (0.5941, 0.6759, 0.8699)
Ga (0.6759, 0.5941, 0.3699)
Ga (0.8229, 0.0632, 0.3619)
Ga (0.9368, 0.1771, 0.1381)
P (0.0943, 0.2154, 0.4558)
P (0.2154, 0.0943, 0.9558)
P (0.2910, 0.5628, 0.9454)
P (0.4372, 0.7090, 0.5546)
P (0.5628, 0.2910, 0.4454)
P (0.7090, 0.4372, 0.0546)
P (0.7846, 0.9057, 0.0442)
P (0.9057, 0.7846, 0.5442)
H (0.0282, 0.3879, 0.7851)
H (0.0622, 0.4705, 0.2910)
H (0.0814, 0.6436, 0.3610)
H (0.1465, 0.5845, 0.1932)
H (0.3564, 0.9186, 0.1390)
H (0.3879, 0.0282, 0.2851)
H (0.4155, 0.8535, 0.3068)
H (0.4705, 0.0622, 0.7910)
H (0.5295, 0.9378, 0.2090)
H (0.5845, 0.1465, 0.6932)
H (0.6121, 0.9718, 0.7149)
H (0.6436, 0.0814, 0.8610)
H (0.8535, 0.4155, 0.8068)
H (0.9186, 0.3564, 0.6390)
H (0.9378, 0.5295, 0.7090)
H (0.9718, 0.6121, 0.2149)
N (0.0654, 0.5775, 0.2661)
N (0.4225, 0.9346, 0.2339)
N (0.5775, 0.0654, 0.7661)
N (0.9346, 0.4225, 0.7339)
O (0.0593, 0.7963, 0.4904)
O (0.0740, 0.1815, 0.9795)
O (0.0961, 0.2619, 0.2916)
O (0.1447, 0.6380, 0.9303)
O (0.1587, 0.3410, 0.5539)
O (0.1815, 0.0740, 0.4795)
O (0.2037, 0.9407, 0.0096)
O (0.2619, 0.0961, 0.7916)
O (0.3036, 0.4941, 0.1030)
O (0.3086, 0.4338, 0.8340)
O (0.3306, 0.5899, 0.5632)
O (0.3410, 0.1587, 0.0539)
O (0.3620, 0.8553, 0.5697)
O (0.4101, 0.6694, 0.9368)
O (0.4338, 0.3086, 0.3340)
O (0.4941, 0.3036, 0.6030)
O (0.5059, 0.6964, 0.3970)
O (0.5662, 0.6914, 0.6660)
O (0.5899, 0.3306, 0.0632)
O (0.6380, 0.1447, 0.4303)
O (0.6590, 0.8413, 0.9461)
O (0.6694, 0.4101, 0.4368)
O (0.6914, 0.5662, 0.1660)
O (0.6964, 0.5059, 0.8970)
O (0.7381, 0.9039, 0.2084)
O (0.7963, 0.0593, 0.9904)
O (0.8185, 0.9260, 0.5205)
O (0.8413, 0.6590, 0.4461)
O (0.8553, 0.3620, 0.0697)
O (0.9039, 0.7381, 0.7084)
O (0.9260, 0.8185, 0.0205)
O (0.9407, 0.2037, 0.5096)

- energy relative to the elements (meV per atom) = -1915.6
- magnetization (μB/cell) = 0.0

***

This record from the Materials Project describes a relaxed LaTmGe4Ir2 crystal. The functional is PBE.

a b c (Å): 9.5391 9.5391 9.5391
angles (deg): 153.58 124.17 62.79
Fractional positions:
La (0.2390, 0.0000, 0.2390)
La (0.7610, 0.0000, 0.7610)
Tm (0.2067, 0.2067, 0.0000)
Tm (0.7933, 0.7933, 0.0000)
Ge (0.0799, 0.5799, 0.5000)
Ge (0.1473, 0.7987, 0.3486)
Ge (0.4210, 0.4210, 0.0000)
Ge (0.4500, 0.7987, 0.6514)
Ge (0.5500, 0.2013, 0.3486)
Ge (0.5790, 0.5790, 0.0000)
Ge (0.8527, 0.2013, 0.6514)
Ge (0.9201, 0.4201, 0.5000)
Ir (0.1028, 0.3510, 0.7517)
Ir (0.4007, 0.6490, 0.7517)
Ir (0.5993, 0.3510, 0.2483)
Ir (0.8972, 0.6490, 0.2483)

- energy relative to the elements (meV per atom) = -827.1

***

This record from the Materials Project describes a relaxed Rb3Ti crystal. The functional is PBE.

a b c (Å): 7.5955 7.5955 7.5955
angles (deg): 130.14 130.14 73.18
Fractional positions:
Rb (0.0000, 0.0000, 0.0000)
Rb (0.2500, 0.7500, 0.5000)
Rb (0.7500, 0.2500, 0.5000)
Ti (0.5000, 0.5000, 0.0000)

- energy above the lowest structure with this stoichiometry (eV/atom) = 0.007
- energy relative to the elements (meV per atom) = 900.2
- magnetization (μB/cell) = 3.5

***

This record from the Materials Project describes a relaxed Sm4Cl6O crystal. The functional is PBE.

a b c (Å): 8.7073 8.7073 8.2834
angles (deg): 90.00 90.00 120.00
Fractional positions:
Sm (0.1847, 0.3694, 0.0000)
Sm (0.1847, 0.8153, 0.0000)
Sm (0.3333, 0.6667, 0.3002)
Sm (0.3694, 0.1847, 0.5000)
Sm (0.6306, 0.8153, 0.0000)
Sm (0.6667, 0.3333, 0.8002)
Sm (0.8153, 0.1847, 0.5000)
Sm (0.8153, 0.6306, 0.5000)
Cl (0.0350, 0.5175, 0.6667)
Cl (0.1372, 0.2745, 0.3436)
Cl (0.1372, 0.8628, 0.3436)
Cl (0.2745, 0.1372, 0.8436)
Cl (0.4825, 0.5175, 0.6667)
Cl (0.4825, 0.9650, 0.6667)
Cl (0.5175, 0.0350, 0.1667)
Cl (0.5175, 0.4825, 0.1667)
Cl (0.7255, 0.8628, 0.3436)
Cl (0.8628, 0.1372, 0.8436)
Cl (0.8628, 0.7255, 0.8436)
Cl (0.9650, 0.4825, 0.1667)
O (0.3333, 0.6667, 0.0172)
O (0.6667, 0.3333, 0.5172)

- energy relative to the elements (meV per atom) = -2023.0
- magnetization (μB/cell) = 0.5

***

Number 1: ρ 6.06 g cm⁻³. Number 2: ρ 5.97 g cm⁻³. Number 3: ρ 2.91 g cm⁻³. Number 4: ρ 10.30 g cm⁻³. Number 5: ρ 2.02 g cm⁻³. Number 6: ρ 5.07 g cm⁻³.